Record 1
# Ca2FeWO6 GGA+U optimized geometry
# DFT formation energy	-2.486	eV per atom
# theoretical density	5.6	Mg/m³
# total energy after the MP2020 corrections	-0.5879	Ry/atom
# M_tot	4.00	μB per formula unit
# SG	Fm-3m
data_Ca2FeWO6
_chemical_formula_sum 'Ca2 Fe1 W1 O6'
_symmetry_space_group_name_H-M 'P 1'
_symmetry_Int_Tables_number 1
_cell_length_a 5.6009
_cell_length_b 5.6009
_cell_length_c 5.6009
_cell_angle_alpha 60.00
_cell_angle_beta 60.00
_cell_angle_gamma 60.00
loop_
_symmetry_equiv_pos_as_xyz
'x,y,z'
loop_
_atom_site_label
_atom_site_type_symbol
_atom_site_fract_x
_atom_site_fract_y
_atom_site_fract_z
_atom_site_occupancy
W1 W 0.0000 0.0000 0.0000 1
O1 O 0.7529 0.2471 0.2471 1
O2 O 0.2471 0.7529 0.7529 1
O3 O 0.7529 0.2471 0.7529 1
O4 O 0.2471 0.7529 0.2471 1
O5 O 0.7529 0.7529 0.2471 1
O6 O 0.2471 0.2471 0.7529 1
Ca1 Ca 0.2500 0.2500 0.2500 1
Ca2 Ca 0.7500 0.7500 0.7500 1
Fe1 Fe 0.5000 0.5000 0.5000 1

=====

Record 2
# Ca2FeWO6 GGA+U optimized geometry
# DFT formation energy	-2.650	eV per atom
# theoretical density	5.5	Mg/m³
# total energy after the MP2020 corrections	-0.6000	Ry/atom
# M_tot	0.00	μB per formula unit
# SG	P1
# largest piezoelectric modulus	2.5	C/m²
data_Ca2FeWO6
_chemical_formula_sum 'Ca4 Fe2 W2 O12'
_symmetry_space_group_name_H-M 'P 1'
_symmetry_Int_Tables_number 1
_cell_length_a 5.6446
_cell_length_b 5.6157
_cell_length_c 9.6936
_cell_angle_alpha 106.07
_cell_angle_beta 105.92
_cell_angle_gamma 60.00
loop_
_symmetry_equiv_pos_as_xyz
'x,y,z'
loop_
_atom_site_label
_atom_site_type_symbol
_atom_site_fract_x
_atom_site_fract_y
_atom_site_fract_z
_atom_site_occupancy
O1 O 0.4152 0.7906 0.6603 1
O2 O 0.4602 0.2566 0.6078 1
O3 O 0.3908 0.8043 0.0706 1
O4 O 0.0233 0.1800 0.8745 1
O5 O 0.0462 0.6672 0.8336 1
O6 O 0.0961 0.6295 0.4279 1
O7 O 0.8922 0.3073 0.5705 1
O8 O 0.5955 0.1261 0.9271 1
O9 O 0.5458 0.1721 0.3332 1
O10 O 0.9569 0.7555 0.1091 1
O11 O 0.5255 0.6808 0.3727 1
O12 O 0.9147 0.2855 0.1611 1
Ca1 Ca 0.6545 0.6401 0.8845 1
Ca2 Ca 0.1577 0.1396 0.3850 1
Ca3 Ca 0.4088 0.3938 0.1358 1
Ca4 Ca 0.9106 0.8949 0.6369 1
Fe1 Fe 0.2550 0.2392 0.7508 1
Fe2 Fe 0.7565 0.7377 0.2512 1
W1 W 0.4984 0.4821 0.4985 1
W2 W 0.9970 0.9818 0.9993 1

=====

Record 3
# Ca2FeWO6 GGA+U optimized geometry
# DFT formation energy	-2.486	eV per atom
# theoretical density	5.5	Mg/m³
# total energy after the MP2020 corrections	-0.5879	Ry/atom
# M_tot	4.00	μB per formula unit
# SG	R-3m
data_Ca2FeWO6
_chemical_formula_sum 'Ca2 Fe1 W1 O6'
_symmetry_space_group_name_H-M 'P 1'
_symmetry_Int_Tables_number 1
_cell_length_a 5.6064
_cell_length_b 5.6064
_cell_length_c 5.6064
_cell_angle_alpha 60.14
_cell_angle_beta 60.14
_cell_angle_gamma 60.14
loop_
_symmetry_equiv_pos_as_xyz
'x,y,z'
loop_
_atom_site_label
_atom_site_type_symbol
_atom_site_fract_x
_atom_site_fract_y
_atom_site_fract_z
_atom_site_occupancy
O1 O 0.2489 0.7537 0.7537 1
O2 O 0.2463 0.7511 0.2463 1
O3 O 0.2463 0.2463 0.7511 1
O4 O 0.7537 0.7537 0.2489 1
O5 O 0.7537 0.2489 0.7537 1
O6 O 0.7511 0.2463 0.2463 1
Fe1 Fe 0.5000 0.5000 0.5000 1
Ca1 Ca 0.7424 0.7424 0.7424 1
Ca2 Ca 0.2576 0.2576 0.2576 1
W1 W 0.0000 0.0000 0.0000 1

=====

Record 4
# Ca2FeWO6 GGA+U optimized geometry
# DFT formation energy	-2.673	eV per atom
# theoretical density	5.6	Mg/m³
# total energy after the MP2020 corrections	-0.6016	Ry/atom
# M_tot	4.00	μB per formula unit
# SG	P2_1/c
data_Ca2FeWO6
_chemical_formula_sum 'Ca4 Fe2 W2 O12'
_symmetry_space_group_name_H-M 'P 1'
_symmetry_Int_Tables_number 1
_cell_length_a 5.5065
_cell_length_b 5.6519
_cell_length_c 7.9205
_cell_angle_alpha 90.01
_cell_angle_beta 89.86
_cell_angle_gamma 89.99
loop_
_symmetry_equiv_pos_as_xyz
'x,y,z'
loop_
_atom_site_label
_atom_site_type_symbol
_atom_site_fract_x
_atom_site_fract_y
_atom_site_fract_z
_atom_site_occupancy
O1 O 0.9004 0.5344 0.7649 1
O2 O 0.2109 0.1926 0.5495 1
O3 O 0.2890 0.6926 0.9506 1
O4 O 0.5997 0.0345 0.7350 1
O5 O 0.7110 0.3074 0.0494 1
O6 O 0.4003 0.9655 0.2650 1
O7 O 0.0996 0.4656 0.2351 1
O8 O 0.1832 0.2152 0.9432 1
O9 O 0.7891 0.8074 0.4505 1
O10 O 0.3169 0.7153 0.5569 1
O11 O 0.8168 0.7848 0.0568 1
O12 O 0.6831 0.2847 0.4431 1
W1 W 0.5000 0.0000 0.5000 1
W2 W 0.0000 0.5000 0.0000 1
Ca1 Ca 0.0124 0.9438 0.7467 1
Ca2 Ca 0.4876 0.4438 0.7532 1
Ca3 Ca 0.9876 0.0562 0.2533 1
Ca4 Ca 0.5124 0.5562 0.2468 1
Fe1 Fe 0.9999 0.5000 0.5000 1
Fe2 Fe 0.5000 0.0000 0.0000 1

=====

Record 5
# CaFeWO6 GGA+U optimized geometry
# DFT formation energy	-2.141	eV per atom
# theoretical density	5.2	Mg/m³
# total energy after the MP2020 corrections	-0.5912	Ry/atom
# M_tot	6.00	μB per formula unit
# SG	F-43m
data_CaFeWO6
_chemical_formula_sum 'Ca1 Fe1 W1 O6'
_symmetry_space_group_name_H-M 'P 1'
_symmetry_Int_Tables_number 1
_cell_length_a 5.5388
_cell_length_b 5.5388
_cell_length_c 5.5388
_cell_angle_alpha 60.00
_cell_angle_beta 60.00
_cell_angle_gamma 60.00
loop_
_symmetry_equiv_pos_as_xyz
'x,y,z'
loop_
_atom_site_label
_atom_site_type_symbol
_atom_site_fract_x
_atom_site_fract_y
_atom_site_fract_z
_atom_site_occupancy
W1 W 0.7500 0.7500 0.7500 1
O1 O 0.9964 0.9964 0.5036 1
O2 O 0.5036 0.5036 0.9964 1
O3 O 0.5036 0.9964 0.5036 1
O4 O 0.9964 0.5036 0.9964 1
O5 O 0.9964 0.5036 0.5036 1
O6 O 0.5036 0.9964 0.9964 1
Ca1 Ca 0.5000 0.5000 0.5000 1
Fe1 Fe 0.2500 0.2500 0.2500 1

=====

Record 6
# CaFeWO6 GGA+U optimized geometry
# DFT formation energy	-2.142	eV per atom
# theoretical density	5.2	Mg/m³
# total energy after the MP2020 corrections	-0.5912	Ry/atom
# M_tot	6.00	μB per formula unit
# SG	Cm
data_CaFeWO6
_chemical_formula_sum 'Ca1 Fe1 W1 O6'
_symmetry_space_group_name_H-M 'P 1'
_symmetry_Int_Tables_number 1
_cell_length_a 5.5449
_cell_length_b 5.5449
_cell_length_c 5.5437
_cell_angle_alpha 60.01
_cell_angle_beta 60.01
_cell_angle_gamma 59.98
loop_
_symmetry_equiv_pos_as_xyz
'x,y,z'
loop_
_atom_site_label
_atom_site_type_symbol
_atom_site_fract_x
_atom_site_fract_y
_atom_site_fract_z
_atom_site_occupancy
Ca1 Ca 0.7512 0.7512 0.7325 1
O1 O 0.2400 0.7506 0.7304 1
O2 O 0.7536 0.7536 0.2266 1
O3 O 0.7561 0.2518 0.2149 1
O4 O 0.2461 0.2461 0.7211 1
O5 O 0.7506 0.2400 0.7304 1
O6 O 0.2518 0.7561 0.2149 1
Fe1 Fe 0.5000 0.5000 0.4749 1
W1 W 0.0001 0.0001 0.9753 1